Ag2AsO2 | PBE | relaxed

Unit cell a=10.7344 b=10.7128 c=7.6986 alpha=69.11 beta=68.81 gamma=42.07
Closest atoms and distances in Å follow each position.
Fractional coordinates of all 20 atoms:
1 Ag 0.1885 0.8113 0.2525  2 O 2.07
2 Ag 0.1887 0.8115 0.7523  2 O 2.07
3 Ag 0.2477 0.2525 0.8113  2 O 2.07
4 Ag 0.2525 0.2477 0.1885  2 O 2.07
5 Ag 0.7475 0.7523 0.8115  2 O 2.07
6 Ag 0.7523 0.7475 0.1887  2 O 2.07
7 Ag 0.8113 0.1885 0.2477  2 O 2.07
8 Ag 0.8115 0.1887 0.7475  2 O 2.07
9 As 0.0000 0.5000 0.5000  2 O 1.93
10 As 0.5000 0.0000 0.5000  2 O 1.93
11 As 0.5000 0.5000 0.0000  2 O 1.93
12 As 0.5000 0.5000 0.5000  2 O 1.93
13 O 0.0275 0.5306 0.7123  1 As 1.93, 2 Ag 2.07
14 O 0.2295 0.7123 0.5306  1 As 1.93, 2 Ag 2.07
15 O 0.2877 0.7705 0.9725  1 As 1.93, 2 Ag 2.07
16 O 0.4694 0.9725 0.7705  1 As 1.93, 2 Ag 2.07
17 O 0.5306 0.0275 0.2295  1 As 1.93, 2 Ag 2.07
18 O 0.7123 0.2295 0.0275  1 As 1.93, 2 Ag 2.07
19 O 0.7705 0.2877 0.4694  1 As 1.93, 2 Ag 2.07
20 O 0.9725 0.4694 0.2877  1 As 1.93, 2 Ag 2.07

Calculated values
Its formation energy is -159 meV/atom. The total energy is -3.9281 eV per atom. The space group is Fddd (70).